DFT (PBE+U) results for a relaxed structure of Rb6UMo4O18.

Values from the calculation:
M_tot: 0.00 μB/f.u.
calculated formation energy: -2.393 eV/atom
space-group type: C2/c (15)
MP2020-corrected energy: -438.06 eV per cell
calculated total energy: -387.71 eV/cell

a = 10.6165 Å, b = 10.6165 Å, c = 14.3945 Å
α = 59.36°, β = 59.36°, γ = 67.40°
With the nearest neighbours (Å) after each atom.
Atoms (fractional coordinates):
O: 0.7403 0.4168 0.9034  1 Mo 1.88
O: 0.9900 0.6725 0.3526  1 Mo 1.77
O: 0.4168 0.7403 0.4034  1 Mo 1.88
O: 0.0100 0.3275 0.6474  1 Mo 1.77
O: 0.4597 0.5388 0.8761  1 U 1.85
O: 0.8982 0.1354 0.5612  1 Mo 1.78
O: 0.7989 0.1842 0.3899  1 Mo 1.79
O: 0.1336 0.2962 0.1249  1 Mo 1.79
O: 0.5403 0.4612 0.1239  1 U 1.85
O: 0.3275 0.0100 0.1474  1 Mo 1.77
O: 0.7331 0.5505 0.4140  1 Mo 1.88
O: 0.2962 0.1336 0.6249  1 Mo 1.79
O: 0.1354 0.8982 0.0612  1 Mo 1.78
O: 0.5505 0.7331 0.9140  1 Mo 1.88
O: 0.9438 0.7050 0.1217  1 Mo 1.78
O: 0.6257 0.7484 0.0809  1 Mo 1.78
O: 0.7050 0.9438 0.6217  1 Mo 1.78
O: 0.8646 0.1018 0.9388  1 Mo 1.78
O: 0.2950 0.0562 0.3783  1 Mo 1.78
O: 0.7038 0.8664 0.3751  1 Mo 1.79
O: 0.7484 0.6257 0.5809  1 Mo 1.78
O: 0.2011 0.8158 0.6101  1 Mo 1.79
O: 0.4612 0.5403 0.6239  1 U 1.85
O: 0.3743 0.2516 0.9191  1 Mo 1.78
O: 0.2669 0.4495 0.5860  1 Mo 1.88
O: 0.2516 0.3743 0.4191  1 Mo 1.78
O: 0.4495 0.2669 0.0860  1 Mo 1.88
O: 0.0562 0.2950 0.8783  1 Mo 1.78
O: 0.6725 0.9900 0.8526  1 Mo 1.77
O: 0.1018 0.8646 0.4388  1 Mo 1.78
O: 0.2597 0.5832 0.0966  1 Mo 1.88
O: 0.8158 0.2011 0.1101  1 Mo 1.79
O: 0.5832 0.2597 0.5966  1 Mo 1.88
O: 0.1842 0.7989 0.8899  1 Mo 1.79
O: 0.5388 0.4597 0.3761  1 U 1.85
O: 0.8664 0.7038 0.8751  1 Mo 1.79
Rb: 0.0788 0.3472 0.3338  5 O 2.83-3.15
Rb: 0.6528 0.9212 0.1662  5 O 2.83-3.15
Rb: 0.3472 0.0788 0.8338  5 O 2.83-3.15
Rb: 0.8153 0.4668 0.1651  6 O 2.94-3.29
Rb: 0.1847 0.5332 0.8349  6 O 2.94-3.29
Rb: 0.6803 0.3197 0.7500  8 O 2.99-3.26
Rb: 0.0083 0.9917 0.7500  8 O 2.90-3.17
Rb: 0.4668 0.8153 0.6651  6 O 2.94-3.29
Rb: 0.9212 0.6528 0.6662  5 O 2.83-3.15
Rb: 0.5332 0.1847 0.3349  6 O 2.94-3.29
Rb: 0.9917 0.0083 0.2500  8 O 2.90-3.17
Rb: 0.3197 0.6803 0.2500  8 O 2.99-3.26
Mo: 0.7492 0.1258 0.5429  4 O 1.78-1.88
Mo: 0.2508 0.8742 0.4571  4 O 1.78-1.88
Mo: 0.7951 0.6795 0.4297  4 O 1.77-1.88
Mo: 0.6795 0.7951 0.9297  4 O 1.77-1.88
Mo: 0.8742 0.2508 0.9571  4 O 1.78-1.88
Mo: 0.2049 0.3205 0.5703  4 O 1.77-1.88
Mo: 0.3205 0.2049 0.0703  4 O 1.77-1.88
Mo: 0.1258 0.7492 0.0429  4 O 1.78-1.88
U: 0.5000 0.5000 0.5000  2 O 1.85
U: 0.5000 0.5000 0.0000  2 O 1.85



DFT (PBE+U) results for a relaxed structure of RbYMo2O8.

Values from the calculation:
M_tot: 0.00 μB/f.u.
calculated formation energy: -2.516 eV/atom
space-group type: C2/c (15)
MP2020-corrected energy: -197.84 eV per cell
calculated total energy: -174.04 eV/cell

a = 7.5587 Å, b = 7.5587 Å, c = 7.7804 Å
α = 61.87°, β = 61.87°, γ = 88.34°
With the nearest neighbours (Å) after each atom.
Atoms (fractional coordinates):
O: 0.3678 0.5848 0.4698  2 Mo 2.00-2.13
O: 0.7650 0.6154 0.0622  1 Mo 1.78
O: 0.6154 0.7650 0.5622  1 Mo 1.78
O: 0.2079 0.0487 0.3071  1 Mo 1.81
O: 0.6172 0.9314 0.1250  1 Mo 1.85
O: 0.6322 0.4152 0.5302  2 Mo 2.00-2.13
O: 0.2350 0.3846 0.9378  1 Mo 1.78
O: 0.3828 0.0686 0.8750  1 Mo 1.85
O: 0.0487 0.2079 0.8071  1 Mo 1.81
O: 0.4152 0.6322 0.0302  2 Mo 2.00-2.13
O: 0.9513 0.7921 0.1929  1 Mo 1.81
O: 0.7921 0.9513 0.6929  1 Mo 1.81
O: 0.3846 0.2350 0.4378  1 Mo 1.78
O: 0.9314 0.6172 0.6250  1 Mo 1.85
O: 0.5848 0.3678 0.9698  2 Mo 2.00-2.13
O: 0.0686 0.3828 0.3750  1 Mo 1.85
Rb: 0.1987 0.8013 0.7500  8 O 2.85-3.11
Rb: 0.8013 0.1987 0.2500  8 O 2.85-3.11
Mo: 0.3048 0.3037 0.2371  3 O 1.78-1.85
Mo: 0.6963 0.6952 0.2629  3 O 1.78-1.85
Mo: 0.3037 0.3048 0.7371  3 O 1.78-1.85
Mo: 0.6952 0.6963 0.7629  3 O 1.78-1.85
Y: 0.2292 0.7708 0.2500  6 O 2.31-2.39
Y: 0.7708 0.2292 0.7500  6 O 2.31-2.39



DFT (PBE+U) results for a relaxed structure of RbYMo2O8.

Values from the calculation:
calculated formation energy: -2.540 eV/atom
space-group type: Pbcn (60)
MP2020-corrected energy: -396.80 eV per cell
calculated total energy: -349.20 eV/cell

a = 5.1569 Å, b = 8.2116 Å, c = 18.9704 Å
α = 90.00°, β = 90.00°, γ = 90.00°
With the nearest neighbours (Å) after each atom.
Atoms (fractional coordinates):
Y: 0.0000 0.7500 0.0064  8 O 2.30-2.58
Y: 0.0000 0.2500 0.9936  8 O 2.30-2.58
Y: 0.5000 0.7500 0.5064  8 O 2.30-2.58
Y: 0.5000 0.2500 0.4936  8 O 2.30-2.58
O: 0.7403 0.3113 0.0887  1 Mo 1.82
O: 0.2597 0.1887 0.0887  1 Mo 1.82
O: 0.7680 0.6604 0.5969  1 Mo 1.80
O: 0.7473 0.9951 0.5358  1 Mo 1.87
O: 0.5968 0.0250 0.1852  1 Mo 1.75
O: 0.2403 0.6887 0.4113  1 Mo 1.82
O: 0.7597 0.3113 0.5887  1 Mo 1.82
O: 0.7597 0.8113 0.4113  1 Mo 1.82
O: 0.2527 0.0049 0.4642  1 Mo 1.87
O: 0.2403 0.1887 0.5887  1 Mo 1.82
O: 0.0968 0.4750 0.6852  1 Mo 1.75
O: 0.2473 0.0049 0.9642  1 Mo 1.87
O: 0.2473 0.5049 0.0358  1 Mo 1.87
O: 0.9032 0.5250 0.3148  1 Mo 1.75
O: 0.2320 0.8396 0.5969  1 Mo 1.80
O: 0.7320 0.1604 0.9031  1 Mo 1.80
O: 0.5968 0.5250 0.8148  1 Mo 1.75
O: 0.2680 0.3396 0.9031  1 Mo 1.80
O: 0.7680 0.1604 0.4031  1 Mo 1.80
O: 0.2527 0.5049 0.5358  1 Mo 1.87
O: 0.2320 0.3396 0.4031  1 Mo 1.80
O: 0.7403 0.8113 0.9113  1 Mo 1.82
O: 0.2680 0.8396 0.0969  1 Mo 1.80
O: 0.7473 0.4951 0.4642  1 Mo 1.87
O: 0.9032 0.0250 0.6852  1 Mo 1.75
O: 0.7320 0.6604 0.0969  1 Mo 1.80
O: 0.0968 0.9750 0.3148  1 Mo 1.75
O: 0.7527 0.4951 0.9642  1 Mo 1.87
O: 0.4032 0.4750 0.1852  1 Mo 1.75
O: 0.4032 0.9750 0.8148  1 Mo 1.75
O: 0.2597 0.6887 0.9113  1 Mo 1.82
O: 0.7527 0.9951 0.0358  1 Mo 1.87
Rb: 0.0000 0.7500 0.7700  6 O 2.82-3.04
Rb: 0.5000 0.2500 0.7300  6 O 2.82-3.04
Rb: 0.0000 0.2500 0.2300  6 O 2.82-3.04
Rb: 0.5000 0.7500 0.2700  6 O 2.82-3.04
Mo: 0.0234 0.5154 0.4011  4 O 1.75-1.87
Mo: 0.9766 0.4846 0.5989  4 O 1.75-1.87
Mo: 0.5234 0.9846 0.9011  4 O 1.75-1.87
Mo: 0.4766 0.5154 0.9011  4 O 1.75-1.87
Mo: 0.0234 0.0154 0.5989  4 O 1.75-1.87
Mo: 0.4766 0.0154 0.0989  4 O 1.75-1.87
Mo: 0.5234 0.4846 0.0989  4 O 1.75-1.87
Mo: 0.9766 0.9846 0.4011  4 O 1.75-1.87



DFT (PBE+U) results for a relaxed structure of Rb8ZrMo6O24.

Values from the calculation:
M_tot: 0.00 μB/f.u.
calculated formation energy: -2.295 eV/atom
space-group type: C2/m (12)
MP2020-corrected energy: -289.72 eV per cell
calculated total energy: -254.02 eV/cell

a = 10.8995 Å, b = 10.8995 Å, c = 8.0757 Å
α = 81.78°, β = 81.78°, γ = 124.25°
With the nearest neighbours (Å) after each atom.
Atoms (fractional coordinates):
Mo: 0.0565 0.7419 0.2917  4 O 1.77-1.87
Mo: 0.2581 0.9435 0.7083  4 O 1.77-1.87
Mo: 0.7419 0.0565 0.2917  4 O 1.77-1.87
Mo: 0.3886 0.3886 0.7938  4 O 1.77-1.88
Mo: 0.6114 0.6114 0.2062  4 O 1.77-1.88
Mo: 0.9435 0.2581 0.7083  4 O 1.77-1.87
Rb: 0.8634 0.5174 0.8943  6 O 2.84-3.13
Rb: 0.6635 0.3365 0.5000  6 O 2.96-2.98
Rb: 0.2080 0.2080 0.3499  4 O 2.79-3.06
Rb: 0.5174 0.8634 0.8943  6 O 2.84-3.13
Rb: 0.1366 0.4826 0.1057  6 O 2.84-3.13
Rb: 0.3365 0.6635 0.5000  6 O 2.96-2.98
Rb: 0.4826 0.1366 0.1057  6 O 2.84-3.13
Rb: 0.7920 0.7920 0.6501  4 O 2.79-3.06
O: 0.7604 0.2222 0.7720  1 Mo 1.78
O: 0.4156 0.5644 0.8048  1 Mo 1.79
O: 0.0181 0.3190 0.4771  1 Mo 1.79
O: 0.7778 0.2396 0.2280  1 Mo 1.78
O: 0.0640 0.9134 0.1946  1 Mo 1.87
O: 0.9819 0.6810 0.5229  1 Mo 1.79
O: 0.3190 0.0181 0.4771  1 Mo 1.79
O: 0.3501 0.3501 0.5948  1 Mo 1.77
O: 0.4356 0.5844 0.1952  1 Mo 1.79
O: 0.6499 0.6499 0.4052  1 Mo 1.77
O: 0.0681 0.4122 0.7910  1 Mo 1.77
O: 0.7826 0.7826 0.0301  1 Mo 1.88
O: 0.9360 0.0866 0.8054  1 Mo 1.87
O: 0.0866 0.9360 0.8054  1 Mo 1.87
O: 0.4122 0.0681 0.7910  1 Mo 1.77
O: 0.5644 0.4156 0.8048  1 Mo 1.79
O: 0.9134 0.0640 0.1946  1 Mo 1.87
O: 0.5878 0.9319 0.2090  1 Mo 1.77
O: 0.9319 0.5878 0.2090  1 Mo 1.77
O: 0.6810 0.9819 0.5229  1 Mo 1.79
O: 0.2174 0.2174 0.9699  1 Mo 1.88
O: 0.5844 0.4356 0.1952  1 Mo 1.79
O: 0.2396 0.7778 0.2280  1 Mo 1.78
O: 0.2222 0.7604 0.7720  1 Mo 1.78
Zr: 0.0000 0.0000 0.0000  6 O 2.12-2.15